Entry 1:
Below is crystalline KBaLiZnF6 at its relaxed geometry, with properties calculated at the PBE-GGA level. Values from VASP.

Structure (Quantum ESPRESSO input):
```
&SYSTEM
  ibrav = 0, nat = 50, ntyp = 5
/
ATOMIC_SPECIES
Zn 65.41 Zn.upf
K 39.10 K.upf
F 19.00 F.upf
Ba 137.33 Ba.upf
Li 6.94 Li.upf
CELL_PARAMETERS angstrom
-8.7228 -22.0857 3.6839
-3.4308 -23.0512 5.8571
-7.5963 -20.8422 9.2377
ATOMIC_POSITIONS angstrom
Zn -18.7430 -62.6153 17.8214
Zn -10.8678 -36.3062 10.3334
Zn -0.9890 -3.3040 0.9404
Zn -12.8439 -42.9080 12.2123
Zn -8.8773 -29.6567 8.4408
K -11.8399 -39.5539 11.2577
K -5.8919 -19.6831 5.6022
K -13.8283 -46.1966 13.1483
K -1.9794 -6.6127 1.8821
K -3.9379 -13.1556 3.7443
F -10.1240 -28.0492 8.3337
F -5.6662 -24.7248 6.6852
F -12.1059 -34.6640 10.2168
F -16.0555 -47.8578 13.9720
F -14.2367 -44.0367 11.2337
F -10.2714 -30.8612 7.5101
F -12.2627 -37.4371 9.3534
F -8.3124 -24.2420 5.5985
F -9.6152 -37.9202 10.4407
F -10.0290 -35.7654 8.5313
F -8.0494 -29.1494 6.6500
F -13.6740 -43.4154 14.0082
F -7.7492 -23.6201 8.3757
F -6.3496 -17.6131 3.6855
F -9.7201 -30.2525 10.2283
F -11.5930 -44.5190 12.3193
F -12.0065 -42.4484 10.3774
F -7.4883 -28.5301 9.4161
F -11.6992 -36.8150 12.1320
F -17.9777 -54.3919 15.8249
F -5.7749 -16.9787 6.5189
F -15.9410 -55.4720 14.1720
F -9.4674 -35.1454 11.3003
F -13.4166 -48.3393 15.0557
F -14.1539 -41.3095 12.1201
F -13.9783 -48.9594 12.2862
F -11.4258 -41.8073 13.2405
F -3.6498 -18.1057 4.7942
F -15.3903 -54.8640 16.8874
F -7.6813 -31.3337 8.5737
Ba -0.0228 -0.0761 0.0217
Ba -15.8226 -52.8591 15.0446
Ba -7.9019 -26.3980 7.5133
Ba -9.9075 -33.0983 9.4203
Ba -17.7728 -59.3741 16.8989
Li -4.9494 -16.5348 4.7061
Li -16.7808 -56.0602 15.9557
Li -2.9909 -9.9917 2.8438
Li -6.9117 -23.0902 6.5719
Li -14.8174 -49.5010 14.0888
```

Properties
formation energy	-32.79	eV/f.u.
size of the total moment	0.00	μB per cell
excess energy over the best structure of this formula in the dataset	0.03	eV per formula unit
space-group type	R3m (160)
electronic total energy	-4.77	eV/atom
volume	694	Å³ per cell



Entry 2:
Below is crystalline KBaLiZnF6 at its relaxed geometry, with properties calculated at the PBE-GGA level. Values from VASP.

Structure (Quantum ESPRESSO input):
```
&SYSTEM
  ibrav = 0, nat = 10, ntyp = 5
/
ATOMIC_SPECIES
K 39.10 K.upf
Li 6.94 Li.upf
F 19.00 F.upf
Zn 65.41 Zn.upf
Ba 137.33 Ba.upf
CELL_PARAMETERS angstrom
-0.1534 1.0813 5.7033
-4.2440 3.2836 2.2195
-4.1168 -2.4196 3.3042
ATOMIC_POSITIONS angstrom
K 0.0000 0.0000 0.0000
Li -2.1285 0.4863 2.8067
F -6.3155 -0.2352 7.2669
F -4.3361 1.5132 8.4650
F -6.3922 0.3048 10.1152
F -6.4557 3.1532 9.5735
F -8.4351 1.4047 8.3753
F -6.3791 2.6131 6.7251
Zn -6.3856 1.4590 8.4202
Ba -4.2571 0.9726 5.6135
```

Properties
formation energy	-32.82	eV/f.u.
size of the total moment	0.00	μB per cell
excess energy over the best structure of this formula in the dataset	0.00	eV per formula unit
space-group type	F-43m (216)
electronic total energy	-4.77	eV/atom
volume	138	Å³ per cell



Entry 3:
Below is crystalline KBa4Ti5O14F at its relaxed geometry, with properties calculated at the PBE-GGA level. Values from VASP.

Structure (Quantum ESPRESSO input):
```
&SYSTEM
  ibrav = 0, nat = 25, ntyp = 5
/
ATOMIC_SPECIES
Ba 137.33 Ba.upf
O 16.00 O.upf
Ti 47.87 Ti.upf
K 39.10 K.upf
F 19.00 F.upf
CELL_PARAMETERS angstrom
4.0089 0.0000 0.0000
0.0000 4.0089 0.0000
0.0000 0.0000 20.3308
ATOMIC_POSITIONS angstrom
Ba 0.0000 0.0000 14.1854
Ba 0.0000 0.0000 2.0412
Ba 0.0000 0.0000 18.2896
Ba 0.0000 0.0000 6.1454
O 2.0045 2.0045 14.2327
O 0.0000 2.0045 4.0620
O 2.0045 0.0000 8.1019
O 2.0045 0.0000 4.0620
O 2.0045 2.0045 18.2968
O 2.0045 0.0000 12.2289
O 2.0045 2.0045 2.0340
O 2.0045 0.0000 0.0000
O 0.0000 2.0045 0.0000
O 0.0000 2.0045 12.2289
O 0.0000 2.0045 16.2688
O 2.0045 0.0000 16.2688
O 2.0045 2.0045 6.0981
O 0.0000 2.0045 8.1019
Ti 2.0045 2.0045 4.0509
Ti 2.0045 2.0045 8.0426
Ti 2.0045 2.0045 0.0000
Ti 2.0045 2.0045 16.2799
Ti 2.0045 2.0045 12.2882
K 0.0000 0.0000 10.1654
F 2.0045 2.0045 10.1654
```

Properties
formation energy	-85.46	eV/f.u.
size of the total moment	0.01	μB per cell
space-group type	P4/mmm (123)
electronic total energy	-7.79	eV/atom
volume	327	Å³ per cell



Entry 4:
Below is crystalline BaLiZr2F11 at its relaxed geometry, with properties calculated at the PBE-GGA level. Values from VASP.

Structure (Quantum ESPRESSO input):
```
&SYSTEM
  ibrav = 0, nat = 30, ntyp = 4
/
ATOMIC_SPECIES
F 19.00 F.upf
Li 6.94 Li.upf
Ba 137.33 Ba.upf
Zr 91.22 Zr.upf
CELL_PARAMETERS angstrom
6.4314 -3.1710 -4.0186
-0.4735 -6.5729 4.9132
-6.6446 2.2798 -4.2684
ATOMIC_POSITIONS angstrom
F 0.2156 -6.7781 -1.9104
F -0.1066 -0.4456 -4.1435
F 2.1252 -6.8347 0.0706
F -3.5590 -2.1466 0.3224
F -5.8199 -3.6026 -0.4794
F 0.8812 -4.8002 -0.1162
F -2.8119 -0.6294 -3.4444
F 5.1332 -3.8616 -2.8943
F -0.7263 -4.7953 2.0007
F 0.6787 -4.3779 -2.8104
F -4.7613 -1.7042 -2.1675
F 1.6932 -1.4050 -2.6203
F -3.5173 -3.7387 -1.9807
F -2.3799 -6.0592 -0.7534
F -1.5679 -2.6639 -3.2576
F -0.9023 -0.6861 -1.4634
F -1.3654 -3.0863 -0.5633
F 4.0746 -5.7600 -1.2063
F 2.8306 -3.7255 -1.3931
F 0.0396 -2.6689 -5.3745
F 3.1199 -3.0747 -4.8742
F -3.8066 -4.3895 1.5004
Li 1.3829 -2.8816 -3.9199
Li -2.0696 -4.5826 0.5461
Ba 4.8066 -7.8610 0.7217
Ba 1.1513 -1.8830 0.1729
Zr -2.6330 -1.7520 -1.5475
Zr -1.6663 -1.4904 -5.1363
Zr 0.9796 -5.9737 1.7625
Zr 1.9463 -5.7121 -1.8263
```

Properties
formation energy	-59.65	eV/f.u.
space-group type	I4/m (87)
electronic total energy	-6.44	eV/atom
volume	398	Å³ per cell